A geometry-optimized Na3TmTi2Nb2O12 structure. Source: the Materials Project, functional PBE.

The structure belongs to space group Pmc2_1 (No. 26); the cell edges are 15.469, 5.417 and 5.589 Å and the angles 90.00°, 90.00° and 90.00°. The distinct sites, in fractional coordinates, are Na at (0.000, 0.241, 0.000), Na at (0.254, 0.255, 0.934), Tm at (0.500, 0.236, 0.033), Ti at (0.374, 0.264, 0.489), Nb at (0.127, 0.251, 0.466), O at (0.000, 0.328, 0.447), O at (0.106, 0.045, 0.757), O at (0.148, 0.455, 0.173), O at (0.256, 0.176, 0.483), O at (0.364, 0.446, 0.155), O at (0.410, 0.047, 0.744) and O at (0.500, 0.359, 0.421).

The MP2020-corrected energy is -333.41 eV per cell. For the formation energy, the calculation gives -3.145 eV/atom. The calculation puts the energy relative to the lowest polymorph listed for this composition at 0.00 eV/f.u.